Record 1
This record from Materials Project describes a relaxed Ta2Mn4O9 crystal. The functional is GGA+U.

Unit cell a=5.989 b=6.019 c=54.971 alpha=51.39 beta=51.62 gamma=52.18
Element x y z (fractional)
Mn 0.724 0.735 0.749
Mn 0.023 0.016 0.558
Mn 0.719 0.719 0.527
Mn 0.511 0.504 0.837
Mn 0.561 0.539 0.049
Mn 0.740 0.739 0.079
Mn 0.718 0.706 0.196
Mn 0.533 0.517 0.610
Mn 0.025 0.031 0.666
Mn 0.020 0.017 0.891
Mn 0.725 0.732 0.416
Mn 0.245 0.231 0.023
Mn 0.023 0.008 0.225
Mn 0.019 0.031 0.333
Mn 0.016 0.997 0.450
Mn 0.532 0.516 0.278
Mn 0.510 0.505 0.170
Mn 0.741 0.722 0.300
Mn 0.747 0.719 0.632
Mn 0.508 0.505 0.504
Mn 0.718 0.714 0.862
Mn 0.014 0.994 0.784
Mn 0.726 0.746 0.967
Mn 0.501 0.522 0.947
O 0.115 0.418 0.872
O 0.930 0.362 0.730
O 0.103 0.419 0.540
O 0.794 0.183 0.713
O 0.401 0.855 0.012
O 0.337 0.583 0.330
O 0.855 0.132 0.488
O 0.962 0.337 0.286
O 0.841 0.135 0.936
O 0.848 0.119 0.155
O 0.133 0.397 0.318
O 0.416 0.860 0.902
O 0.342 0.579 0.215
O 0.852 0.102 0.271
O 0.414 0.848 0.457
O 0.102 0.416 0.982
O 0.158 0.430 0.422
O 0.613 0.984 0.142
O 0.577 0.952 0.593
O 0.135 0.399 0.095
O 0.355 0.575 0.436
O 0.794 0.181 0.380
O 0.837 0.124 0.045
O 0.932 0.360 0.396
O 0.857 0.127 0.821
O 0.578 0.948 0.815
O 0.853 0.100 0.604
O 0.964 0.309 0.174
O 0.402 0.847 0.125
O 0.109 0.408 0.206
O 0.935 0.286 0.076
O 0.584 0.951 0.481
O 0.419 0.859 0.568
O 0.386 0.824 0.354
O 0.978 0.327 0.507
O 0.668 0.908 0.034
O 0.139 0.397 0.651
O 0.339 0.574 0.550
O 0.416 0.850 0.236
O 0.385 0.824 0.688
O 0.288 0.657 0.994
O 0.971 0.329 0.841
O 0.339 0.582 0.664
O 0.575 0.958 0.259
O 0.417 0.850 0.790
O 0.354 0.573 0.769
O 0.968 0.271 0.960
O 0.326 0.570 0.886
O 0.575 0.943 0.372
O 0.155 0.431 0.755
O 0.588 0.945 0.926
O 0.575 0.942 0.705
O 0.960 0.332 0.620
O 0.264 0.637 0.109
Ta 0.223 0.205 0.471
Ta 0.220 0.246 0.690
Ta 0.222 0.216 0.580
Ta 0.222 0.210 0.914
Ta 0.035 0.029 0.002
Ta 0.222 0.203 0.804
Ta 0.226 0.233 0.134
Ta 0.218 0.246 0.357
Ta 0.222 0.216 0.247
Ta 0.514 0.533 0.726
Ta 0.517 0.534 0.392
Ta 0.020 0.029 0.114

Properties
The magnetic moment is 119.9 μB per cell. The value obtained for the volume is 1128 Å³ per cell. The calculation puts the formation energy at -2483 meV per atom. The calculation puts the energy above the lowest structure with this stoichiometry at 0.199 eV/atom. The MP2020-corrected energy comes out at -852.82 eV per cell. As for the space group: No. 1.

=====

Record 2
This record from Materials Project describes a relaxed Li5Mn3O8 crystal. The functional is GGA+U.

Unit cell a=2.953 b=5.089 c=9.781 alpha=86.48 beta=82.70 gamma=87.85
Element x y z (fractional)
Li 0.390 0.131 0.235
Li 0.116 0.388 0.773
Li 0.884 0.612 0.227
Li 0.610 0.869 0.765
Li 0.500 0.500 0.000
O 0.830 0.939 0.389
O 0.065 0.712 0.882
O 0.461 0.834 0.109
O 0.331 0.442 0.387
O 0.669 0.558 0.613
O 0.935 0.288 0.118
O 0.539 0.166 0.891
O 0.170 0.061 0.611
Mn 0.000 0.000 0.000
Mn 0.250 0.750 0.500
Mn 0.750 0.250 0.500

Properties
The magnetic moment is 10.0 μB per cell. The value obtained for the volume is 145 Å³ per cell. The calculation puts the formation energy at -2069 meV per atom. The calculation puts the energy above the lowest structure with this stoichiometry at 0.081 eV/atom. The MP2020-corrected energy comes out at -109.72 eV per cell. As for the space group: No. 2.

=====

Record 3
This record from Materials Project describes a relaxed CrF3 crystal. The functional is GGA+U.

Unit cell a=5.080 b=5.080 c=5.405 alpha=118.03 beta=118.03 gamma=60.00
Element x y z (fractional)
F 0.634 0.250 0.750
F 0.750 0.134 0.250
F 0.250 0.866 0.750
F 0.366 0.750 0.250
F 0.866 0.634 0.750
F 0.134 0.366 0.250
Cr 0.000 0.000 0.000
Cr 0.500 0.500 0.500

Properties
The value obtained for the volume is 101 Å³ per cell. The calculation puts the formation energy at -3039 meV per atom. The MP2020-corrected energy comes out at -55.11 eV per cell. As for the space group: No. 167.

=====

Record 4
This record from Materials Project describes a relaxed Cs2Mg2W3O12 crystal. The functional is GGA+U.

Unit cell a=11.129 b=11.129 c=11.129 alpha=90.00 beta=90.00 gamma=90.00
Element x y z (fractional)
O 0.671 0.021 0.542
O 0.752 0.604 0.179
O 0.449 0.714 0.262
O 0.786 0.738 0.949
O 0.714 0.262 0.449
O 0.458 0.171 0.479
O 0.829 0.979 0.042
O 0.779 0.516 0.446
O 0.484 0.946 0.721
O 0.521 0.958 0.329
O 0.321 0.248 0.104
O 0.104 0.321 0.248
O 0.762 0.051 0.286
O 0.738 0.949 0.786
O 0.748 0.396 0.679
O 0.262 0.449 0.714
O 0.171 0.479 0.458
O 0.238 0.551 0.214
O 0.042 0.829 0.979
O 0.984 0.554 0.279
O 0.551 0.214 0.238
O 0.946 0.721 0.484
O 0.279 0.984 0.554
O 0.479 0.458 0.171
O 0.979 0.042 0.829
O 0.286 0.762 0.051
O 0.214 0.238 0.551
O 0.604 0.179 0.752
O 0.949 0.786 0.738
O 0.051 0.286 0.762
O 0.016 0.054 0.221
O 0.721 0.484 0.946
O 0.329 0.521 0.958
O 0.054 0.221 0.016
O 0.179 0.752 0.604
O 0.542 0.671 0.021
O 0.958 0.329 0.521
O 0.821 0.252 0.896
O 0.248 0.104 0.321
O 0.252 0.896 0.821
O 0.396 0.679 0.748
O 0.679 0.748 0.396
O 0.896 0.821 0.252
O 0.516 0.446 0.779
O 0.446 0.779 0.516
O 0.554 0.279 0.984
O 0.021 0.542 0.671
O 0.221 0.016 0.054
Cs 0.958 0.042 0.542
Cs 0.458 0.458 0.458
Cs 0.178 0.822 0.322
Cs 0.042 0.542 0.958
Cs 0.542 0.958 0.042
Cs 0.322 0.178 0.822
Cs 0.678 0.678 0.678
Cs 0.822 0.322 0.178
W 0.699 0.624 0.026
W 0.624 0.026 0.699
W 0.526 0.801 0.376
W 0.801 0.376 0.526
W 0.026 0.699 0.624
W 0.474 0.301 0.124
W 0.974 0.199 0.876
W 0.124 0.474 0.301
W 0.301 0.124 0.474
W 0.376 0.526 0.801
W 0.199 0.876 0.974
W 0.876 0.974 0.199
Mg 0.886 0.886 0.886
Mg 0.614 0.114 0.386
Mg 0.386 0.614 0.114
Mg 0.337 0.837 0.663
Mg 0.114 0.386 0.614
Mg 0.663 0.337 0.837
Mg 0.837 0.663 0.337
Mg 0.163 0.163 0.163

Properties
The magnetic moment is 0.0 μB per cell. The value obtained for the volume is 1378 Å³ per cell. The calculation puts the formation energy at -2431 meV per atom. The MP2020-corrected energy comes out at -597.72 eV per cell. As for the space group: No. 198.

=====

Record 5
This record from Materials Project describes a relaxed Na4Al3FeO8 crystal. The functional is GGA+U.

Unit cell a=5.331 b=5.541 c=7.115 alpha=90.02 beta=90.00 gamma=90.02
Element x y z (fractional)
O 0.652 0.469 0.422
O 0.574 0.372 0.826
O 0.174 0.039 0.921
O 0.075 0.107 0.326
O 0.075 0.629 0.158
O 0.674 0.970 0.076
O 0.171 0.540 0.592
O 0.573 0.873 0.678
Al 0.501 0.063 0.874
Al 0.499 0.563 0.632
Al 0.001 0.939 0.120
Na 0.514 0.573 0.121
Na 0.014 0.929 0.625
Na 0.013 0.427 0.877
Na 0.515 0.068 0.377
Fe 0.001 0.439 0.374

Properties
The magnetic moment is 5.0 μB per cell. The value obtained for the volume is 210 Å³ per cell. The calculation puts the formation energy at -2640 meV per atom. The MP2020-corrected energy comes out at -106.82 eV per cell. As for the space group: No. 1.

=====

Record 6
This record from Materials Project describes a relaxed Ba2Mn2AlTlO7 crystal. The functional is GGA+U.

Unit cell a=3.764 b=3.764 c=13.988 alpha=90.00 beta=90.00 gamma=90.00
Element x y z (fractional)
Mn 0.000 0.000 0.372
Mn 0.000 0.000 0.628
O 0.000 0.000 0.224
O 0.500 0.500 0.000
O 0.500 0.000 0.587
O 0.000 0.500 0.413
O 0.500 0.000 0.413
O 0.000 0.500 0.587
O 0.000 0.000 0.776
Tl 0.000 0.000 0.000
Ba 0.500 0.500 0.805
Ba 0.500 0.500 0.195
Al 0.500 0.500 0.500

Properties
The magnetic moment is 8.3 μB per cell. The value obtained for the volume is 198 Å³ per cell. The calculation puts the formation energy at -2172 meV per atom. The MP2020-corrected energy comes out at -91.14 eV per cell. As for the space group: No. 123.

=====

Record 7
This record from Materials Project describes a relaxed MoP4O12 crystal. The functional is GGA+U.

Unit cell a=7.616 b=7.616 c=10.088 alpha=67.75 beta=67.75 gamma=66.90
Element x y z (fractional)
O 0.669 0.181 0.939
O 0.455 0.789 0.422
O 0.650 0.797 0.156
O 0.203 0.350 0.344
O 0.181 0.669 0.439
O 0.830 0.694 0.351
O 0.819 0.331 0.561
O 0.170 0.306 0.649
O 0.895 0.124 0.103
O 0.306 0.170 0.149
O 0.211 0.545 0.078
O 0.342 0.531 0.651
O 0.469 0.658 0.849
O 0.105 0.876 0.897
O 0.350 0.203 0.844
O 0.531 0.342 0.151
O 0.876 0.105 0.397
O 0.797 0.650 0.656
O 0.545 0.211 0.578
O 0.331 0.819 0.061
O 0.124 0.895 0.603
O 0.658 0.469 0.349
O 0.694 0.830 0.851
O 0.789 0.455 0.922
P 0.309 0.343 0.185
P 0.263 0.748 0.968
P 0.691 0.657 0.815
P 0.748 0.263 0.468
P 0.657 0.691 0.315
P 0.252 0.737 0.532
P 0.343 0.309 0.685
P 0.737 0.252 0.032
Mo 0.500 0.000 0.000
Mo 0.000 0.500 0.500

Properties
The magnetic moment is 4.0 μB per cell. The value obtained for the volume is 480 Å³ per cell. The calculation puts the formation energy at -2452 meV per atom. The calculation puts the energy above the lowest structure with this stoichiometry at 0.017 eV/atom. The MP2020-corrected energy comes out at -267.10 eV per cell. As for the space group: No. 15.

=====

Record 8
This record from Materials Project describes a relaxed MgMn6O10F2 crystal. The functional is GGA+U.

Unit cell a=5.124 b=7.501 c=5.578 alpha=94.51 beta=98.37 gamma=85.06
Element x y z (fractional)
O 0.290 0.237 0.540
O 0.318 0.912 0.187
O 0.690 0.777 0.466
O 0.840 0.466 0.688
O 0.694 0.437 0.159
O 0.732 0.124 0.747
O 0.306 0.572 0.879
O 0.859 0.772 0.947
O 0.826 0.082 0.240
O 0.173 0.904 0.701
Mn 0.899 0.274 0.456
Mn 0.467 0.997 0.515
Mn 0.507 0.338 0.833
Mn 0.011 0.999 0.986
Mn 0.000 0.690 0.657
Mn 0.524 0.686 0.157
Mg 0.024 0.488 0.046
F 0.169 0.590 0.371
F 0.185 0.237 0.020

Properties
The magnetic moment is 22.0 μB per cell. The value obtained for the volume is 211 Å³ per cell. The calculation puts the formation energy at -2093 meV per atom. The calculation puts the energy above the lowest structure with this stoichiometry at 0.038 eV/atom. The MP2020-corrected energy comes out at -149.65 eV per cell. As for the space group: No. 1.

=====

Record 9
This record from Materials Project describes a relaxed MnTlOF4 crystal. The functional is GGA+U.

Unit cell a=7.798 b=7.798 c=10.108 alpha=78.71 beta=78.71 gamma=51.85
Element x y z (fractional)
F 0.503 0.623 0.329
F 0.139 0.635 0.440
F 0.377 0.497 0.171
F 0.989 0.886 0.170
F 0.623 0.503 0.829
F 0.768 0.732 0.972
F 0.497 0.377 0.671
F 0.268 0.232 0.528
F 0.635 0.139 0.940
F 0.114 0.011 0.330
F 0.861 0.365 0.560
F 0.886 0.989 0.670
F 0.011 0.114 0.830
F 0.365 0.861 0.060
F 0.232 0.268 0.028
F 0.732 0.768 0.472
Mn 0.246 0.754 0.250
Mn 0.000 0.500 0.500
Mn 0.500 0.000 0.000
Mn 0.754 0.246 0.750
O 0.971 0.558 0.671
O 0.558 0.971 0.171
O 0.029 0.442 0.329
O 0.442 0.029 0.829
Tl 0.660 0.172 0.431
Tl 0.172 0.660 0.931
Tl 0.340 0.828 0.569
Tl 0.828 0.340 0.069

Properties
The magnetic moment is 8.0 μB per cell. The value obtained for the volume is 472 Å³ per cell. The calculation puts the formation energy at -1980 meV per atom. The MP2020-corrected energy comes out at -151.95 eV per cell. As for the space group: No. 15.

=====

Record 10
This record from Materials Project describes a relaxed Li7V4P6O24 crystal. The functional is GGA+U.

Unit cell a=8.521 b=8.521 c=9.059 alpha=61.94 beta=118.06 gamma=120.00
Element x y z (fractional)
O 0.851 0.222 0.094
O 0.493 0.821 0.206
O 0.834 0.537 0.811
O 0.868 0.875 0.749
O 0.756 0.132 0.749
O 0.199 0.591 0.569
O 0.778 0.535 0.094
O 0.797 0.386 0.418
O 0.163 0.798 0.885
O 0.520 0.837 0.885
O 0.133 0.128 0.259
O 0.202 0.480 0.885
O 0.409 0.038 0.569
O 0.872 0.746 0.259
O 0.006 0.203 0.418
O 0.514 0.166 0.811
O 0.465 0.149 0.094
O 0.962 0.801 0.569
O 0.179 0.466 0.206
O 0.125 0.244 0.749
O 0.254 0.867 0.259
O 0.463 0.486 0.811
O 0.534 0.507 0.206
O 0.614 0.994 0.418
P 0.459 0.959 0.247
P 0.957 0.751 0.753
P 0.041 0.254 0.247
P 0.546 0.043 0.753
P 0.249 0.454 0.753
P 0.746 0.541 0.247
Li 0.755 0.826 0.346
Li 0.273 0.077 0.855
Li 0.034 0.966 0.101
Li 0.659 0.727 0.855
Li 0.923 0.341 0.855
Li 0.174 0.582 0.346
Li 0.418 0.245 0.346
V 0.347 0.653 0.042
V 0.857 0.143 0.572
V 0.652 0.348 0.957
V 0.149 0.851 0.448

Properties
The magnetic moment is 9.0 μB per cell. The value obtained for the volume is 478 Å³ per cell. The calculation puts the formation energy at -2699 meV per atom. The calculation puts the energy above the lowest structure with this stoichiometry at 0.000 eV/atom. The MP2020-corrected energy comes out at -311.61 eV per cell. As for the space group: No. 146.

=====

Record 11
This record from Materials Project describes a relaxed NaSrYMnO6 crystal. The functional is GGA+U.

Unit cell a=5.804 b=5.804 c=5.804 alpha=60.00 beta=60.00 gamma=60.00
Element x y z (fractional)
O 0.231 0.231 0.769
O 0.769 0.769 0.231
O 0.231 0.769 0.769
O 0.769 0.231 0.231
O 0.769 0.231 0.769
O 0.231 0.769 0.231
Y 0.500 0.500 0.500
Sr 0.250 0.250 0.250
Na 0.750 0.750 0.750
Mn 0.000 0.000 0.000

Properties
The magnetic moment is 1.0 μB per cell. The value obtained for the volume is 138 Å³ per cell. The calculation puts the formation energy at -2378 meV per atom. The MP2020-corrected energy comes out at -72.11 eV per cell. As for the space group: No. 216.

=====

Which formula does entry 3 have? CrF3